# 1
DFT (PBE) results for RbPHO3F after structural relaxation.

Output
total magnetic moment: 0.002 μB/cell
E above lowest polymorph: 0 meV per atom
ΔE_f: -2.493 eV/atom

Cell lengths 7.631, 15.865, 9.285 Å; angles 90.00, 126.87, 90.00 degrees
Fractional coordinates of all 56 atoms:
Rb: 0.019 0.047 0.276
Rb: 0.019 0.453 0.776
Rb: 0.319 0.205 0.752
Rb: 0.319 0.295 0.252
Rb: 0.681 0.705 0.748
Rb: 0.681 0.795 0.248
Rb: 0.981 0.547 0.224
Rb: 0.981 0.953 0.724
P: 0.130 0.703 0.722
P: 0.130 0.797 0.222
P: 0.487 0.031 0.232
P: 0.487 0.469 0.732
P: 0.513 0.531 0.268
P: 0.513 0.969 0.768
P: 0.870 0.203 0.778
P: 0.870 0.297 0.278
H: 0.205 0.600 0.605
H: 0.205 0.900 0.105
H: 0.362 0.617 0.033
H: 0.362 0.883 0.533
H: 0.638 0.117 0.467
H: 0.638 0.383 0.967
H: 0.795 0.100 0.895
H: 0.795 0.400 0.395
O: 0.047 0.232 0.364
O: 0.047 0.268 0.864
O: 0.137 0.637 0.843
O: 0.137 0.863 0.343
O: 0.154 0.663 0.578
O: 0.154 0.837 0.078
O: 0.263 0.509 0.620
O: 0.263 0.991 0.120
O: 0.309 0.021 0.661
O: 0.309 0.479 0.161
O: 0.486 0.105 0.348
O: 0.486 0.395 0.848
O: 0.514 0.605 0.152
O: 0.514 0.895 0.652
O: 0.691 0.521 0.839
O: 0.691 0.979 0.339
O: 0.737 0.009 0.880
O: 0.737 0.491 0.380
O: 0.846 0.163 0.922
O: 0.846 0.337 0.422
O: 0.863 0.137 0.657
O: 0.863 0.363 0.157
O: 0.953 0.732 0.136
O: 0.953 0.768 0.636
F: 0.361 0.748 0.349
F: 0.361 0.752 0.849
F: 0.498 0.083 0.088
F: 0.498 0.417 0.588
F: 0.502 0.583 0.412
F: 0.502 0.917 0.912
F: 0.639 0.248 0.151
F: 0.639 0.252 0.651

***

# 2
DFT (PBE) results for RbPH3O4F after structural relaxation.

Output
total magnetic moment: 0.002 μB/cell
largest piezoelectric modulus: 0.13 C/m²
ΔE_f: -2.137 eV/atom

Cell lengths 9.171, 4.658, 12.113 Å; angles 90.00, 90.00, 90.00 degrees
Fractional coordinates of all 40 atoms:
Rb: 0.155 0.132 0.000
Rb: 0.345 0.632 0.500
Rb: 0.655 0.368 0.000
Rb: 0.845 0.868 0.500
P: 0.022 0.421 0.744
P: 0.478 0.921 0.244
P: 0.522 0.079 0.744
P: 0.978 0.579 0.244
H: 0.101 0.251 0.404
H: 0.103 0.863 0.706
H: 0.213 0.684 0.209
H: 0.287 0.184 0.709
H: 0.397 0.363 0.206
H: 0.399 0.751 0.904
H: 0.601 0.249 0.404
H: 0.603 0.637 0.706
H: 0.713 0.816 0.209
H: 0.787 0.316 0.709
H: 0.897 0.137 0.206
H: 0.899 0.749 0.904
O: 0.025 0.466 0.355
O: 0.098 0.663 0.671
O: 0.112 0.683 0.171
O: 0.130 0.168 0.752
O: 0.370 0.668 0.252
O: 0.388 0.183 0.671
O: 0.402 0.163 0.171
O: 0.475 0.966 0.855
O: 0.525 0.034 0.355
O: 0.598 0.837 0.671
O: 0.612 0.817 0.171
O: 0.630 0.332 0.752
O: 0.870 0.832 0.252
O: 0.888 0.317 0.671
O: 0.902 0.337 0.171
O: 0.975 0.534 0.855
F: 0.156 0.102 0.451
F: 0.344 0.602 0.951
F: 0.656 0.398 0.451
F: 0.844 0.898 0.951

***

# 3
DFT (PBE) results for Sb2H8PtO4F12 after structural relaxation.

Output
total magnetic moment: 0.003 μB/cell
ΔE_f: -1.951 eV/atom

Cell lengths 5.064, 7.887, 8.624 Å; angles 69.40, 83.77, 75.82 degrees
Fractional coordinates of all 27 atoms:
Sb: 0.150 0.163 0.166
Sb: 0.850 0.837 0.834
H: 0.232 0.258 0.510
H: 0.270 0.636 0.209
H: 0.302 0.224 0.695
H: 0.450 0.513 0.796
H: 0.550 0.487 0.204
H: 0.698 0.776 0.305
H: 0.730 0.364 0.791
H: 0.768 0.742 0.490
Pt: 0.500 0.500 0.500
O: 0.239 0.323 0.590
O: 0.391 0.519 0.273
O: 0.609 0.481 0.727
O: 0.761 0.677 0.410
F: 0.028 0.207 0.948
F: 0.091 0.607 0.827
F: 0.129 0.967 0.731
F: 0.274 0.129 0.382
F: 0.389 0.929 0.173
F: 0.432 0.294 0.063
F: 0.568 0.706 0.937
F: 0.611 0.071 0.827
F: 0.726 0.871 0.618
F: 0.871 0.033 0.269
F: 0.909 0.393 0.173
F: 0.972 0.793 0.052

***

# 4
DFT (PBE) results for Rb5H5O2F6 after structural relaxation.

Output
total magnetic moment: 0.000 μB/cell
ΔE_f: -2.260 eV/atom

Cell lengths 12.249, 13.673, 7.151 Å; angles 90.00, 90.00, 90.00 degrees
Fractional coordinates of all 72 atoms:
Rb: 0.046 0.163 0.138
Rb: 0.046 0.337 0.638
Rb: 0.159 0.017 0.610
Rb: 0.159 0.483 0.110
Rb: 0.250 0.750 0.185
Rb: 0.250 0.750 0.685
Rb: 0.341 0.017 0.110
Rb: 0.341 0.483 0.610
Rb: 0.454 0.163 0.638
Rb: 0.454 0.337 0.138
Rb: 0.546 0.663 0.862
Rb: 0.546 0.837 0.362
Rb: 0.659 0.517 0.390
Rb: 0.659 0.983 0.890
Rb: 0.750 0.250 0.315
Rb: 0.750 0.250 0.815
Rb: 0.841 0.517 0.890
Rb: 0.841 0.983 0.390
Rb: 0.954 0.663 0.362
Rb: 0.954 0.837 0.862
H: 0.063 0.599 0.822
H: 0.063 0.901 0.322
H: 0.109 0.570 0.614
H: 0.109 0.930 0.114
H: 0.250 0.250 0.365
H: 0.250 0.250 0.865
H: 0.391 0.570 0.114
H: 0.391 0.930 0.614
H: 0.437 0.599 0.322
H: 0.437 0.901 0.822
H: 0.563 0.099 0.178
H: 0.563 0.401 0.678
H: 0.609 0.070 0.386
H: 0.609 0.430 0.886
H: 0.750 0.750 0.135
H: 0.750 0.750 0.635
H: 0.891 0.070 0.886
H: 0.891 0.430 0.386
H: 0.937 0.099 0.678
H: 0.937 0.401 0.178
O: 0.064 0.546 0.723
O: 0.064 0.954 0.223
O: 0.436 0.546 0.223
O: 0.436 0.954 0.723
O: 0.564 0.046 0.277
O: 0.564 0.454 0.777
O: 0.936 0.046 0.777
O: 0.936 0.454 0.277
F: 0.047 0.666 0.001
F: 0.047 0.834 0.501
F: 0.175 0.603 0.437
F: 0.175 0.897 0.937
F: 0.233 0.167 0.864
F: 0.233 0.333 0.364
F: 0.267 0.167 0.364
F: 0.267 0.333 0.864
F: 0.325 0.603 0.937
F: 0.325 0.897 0.437
F: 0.453 0.666 0.501
F: 0.453 0.834 0.001
F: 0.547 0.166 0.999
F: 0.547 0.334 0.499
F: 0.675 0.103 0.563
F: 0.675 0.397 0.063
F: 0.733 0.667 0.136
F: 0.733 0.833 0.636
F: 0.767 0.667 0.636
F: 0.767 0.833 0.136
F: 0.825 0.103 0.063
F: 0.825 0.397 0.563
F: 0.953 0.166 0.499
F: 0.953 0.334 0.999

***

# 5
DFT (PBE) results for RbTeHOF4 after structural relaxation.

Output
total magnetic moment: 0.000 μB/cell
ΔE_f: -2.379 eV/atom

Cell lengths 8.431, 8.431, 14.076 Å; angles 94.11, 94.11, 34.38 degrees
Fractional coordinates of all 32 atoms:
Rb: 0.082 0.918 0.500
Rb: 0.198 0.390 0.237
Rb: 0.390 0.198 0.737
Rb: 0.918 0.082 0.000
Te: 0.535 0.577 0.253
Te: 0.577 0.535 0.753
Te: 0.722 0.756 0.995
Te: 0.756 0.722 0.495
H: 0.092 0.836 0.743
H: 0.208 0.453 0.995
H: 0.453 0.208 0.495
H: 0.836 0.092 0.243
O: 0.030 0.646 0.022
O: 0.274 0.639 0.719
O: 0.639 0.274 0.219
O: 0.646 0.030 0.522
F: 0.133 0.523 0.465
F: 0.152 0.783 0.282
F: 0.286 0.946 0.738
F: 0.358 0.997 0.527
F: 0.450 0.646 0.110
F: 0.454 0.638 0.892
F: 0.523 0.133 0.965
F: 0.619 0.866 0.359
F: 0.638 0.454 0.392
F: 0.644 0.867 0.136
F: 0.646 0.450 0.610
F: 0.783 0.152 0.782
F: 0.866 0.619 0.859
F: 0.867 0.644 0.636
F: 0.946 0.286 0.238
F: 0.997 0.358 0.027

***

# 6
DFT (PBE) results for SbH2SO3F7 after structural relaxation.

Output
total magnetic moment: 0.000 μB/cell
ΔE_f: -2.123 eV/atom

Cell lengths 7.033, 13.730, 10.863 Å; angles 90.00, 127.96, 90.00 degrees
Fractional coordinates of all 56 atoms:
Sb: 0.012 0.018 0.267
Sb: 0.012 0.482 0.767
Sb: 0.988 0.518 0.233
Sb: 0.988 0.982 0.733
H: 0.230 0.660 0.022
H: 0.230 0.840 0.522
H: 0.444 0.081 0.768
H: 0.444 0.419 0.268
H: 0.556 0.581 0.732
H: 0.556 0.919 0.232
H: 0.770 0.160 0.478
H: 0.770 0.340 0.978
S: 0.494 0.234 0.816
S: 0.494 0.266 0.316
S: 0.506 0.734 0.684
S: 0.506 0.766 0.184
O: 0.284 0.706 0.116
O: 0.284 0.794 0.616
O: 0.385 0.233 0.890
O: 0.385 0.267 0.390
O: 0.442 0.637 0.715
O: 0.442 0.863 0.215
O: 0.558 0.137 0.785
O: 0.558 0.363 0.285
O: 0.615 0.733 0.610
O: 0.615 0.767 0.110
O: 0.716 0.206 0.384
O: 0.716 0.294 0.884
F: 0.114 0.050 0.919
F: 0.114 0.450 0.419
F: 0.117 0.639 0.342
F: 0.117 0.861 0.842
F: 0.122 0.079 0.458
F: 0.122 0.421 0.958
F: 0.126 0.607 0.880
F: 0.126 0.893 0.380
F: 0.294 0.008 0.768
F: 0.294 0.492 0.268
F: 0.316 0.037 0.310
F: 0.316 0.463 0.810
F: 0.318 0.222 0.149
F: 0.318 0.278 0.649
F: 0.682 0.722 0.351
F: 0.682 0.778 0.851
F: 0.684 0.537 0.190
F: 0.684 0.963 0.690
F: 0.706 0.508 0.732
F: 0.706 0.992 0.232
F: 0.874 0.107 0.620
F: 0.874 0.393 0.120
F: 0.878 0.579 0.042
F: 0.878 0.921 0.542
F: 0.883 0.139 0.158
F: 0.883 0.361 0.658
F: 0.886 0.550 0.581
F: 0.886 0.950 0.081

***

# 7
DFT (PBE) results for SbH3OF6 after structural relaxation.

Output
total magnetic moment: 0.001 μB/cell
ΔE_f: -2.168 eV/atom

Cell lengths 8.857, 8.857, 8.857 Å; angles 109.47, 109.47, 109.47 degrees
Fractional coordinates of all 44 atoms:
Sb: 0.000 0.015 0.500
Sb: 0.015 0.500 0.000
Sb: 0.485 0.485 0.485
Sb: 0.500 0.000 0.015
H: 0.011 0.990 0.887
H: 0.124 0.613 0.603
H: 0.376 0.979 0.489
H: 0.489 0.376 0.979
H: 0.510 0.521 0.897
H: 0.521 0.897 0.510
H: 0.603 0.124 0.613
H: 0.613 0.603 0.124
H: 0.887 0.011 0.990
H: 0.897 0.510 0.521
H: 0.979 0.489 0.376
H: 0.990 0.887 0.011
O: 0.000 0.507 0.500
O: 0.500 0.000 0.507
O: 0.507 0.500 0.000
O: 0.993 0.993 0.993
F: 0.029 0.958 0.698
F: 0.052 0.294 0.959
F: 0.092 0.541 0.835
F: 0.169 0.929 0.471
F: 0.206 0.258 0.665
F: 0.242 0.448 0.408
F: 0.258 0.665 0.206
F: 0.294 0.959 0.052
F: 0.331 0.802 0.760
F: 0.408 0.242 0.448
F: 0.448 0.408 0.242
F: 0.471 0.169 0.929
F: 0.541 0.835 0.092
F: 0.542 0.571 0.740
F: 0.571 0.740 0.542
F: 0.665 0.206 0.258
F: 0.698 0.029 0.958
F: 0.740 0.542 0.571
F: 0.760 0.331 0.802
F: 0.802 0.760 0.331
F: 0.835 0.092 0.541
F: 0.929 0.471 0.169
F: 0.958 0.698 0.029
F: 0.959 0.052 0.294

***

# 8
DFT (PBE) results for SbHO2F6 after structural relaxation.

Output
total magnetic moment: 4.000 μB/cell
ΔE_f: -1.904 eV/atom

Cell lengths 5.174, 7.302, 8.135 Å; angles 90.94, 97.22, 91.97 degrees
Fractional coordinates of all 20 atoms:
Sb: 0.040 0.234 0.273
Sb: 0.960 0.766 0.727
H: 0.349 0.584 0.353
H: 0.651 0.416 0.647
O: 0.418 0.762 0.125
O: 0.490 0.754 0.275
O: 0.510 0.246 0.725
O: 0.582 0.238 0.875
F: 0.063 0.783 0.512
F: 0.150 0.973 0.825
F: 0.191 0.305 0.082
F: 0.217 0.588 0.777
F: 0.275 0.472 0.399
F: 0.350 0.115 0.351
F: 0.650 0.885 0.649
F: 0.725 0.528 0.601
F: 0.783 0.412 0.223
F: 0.809 0.695 0.918
F: 0.850 0.027 0.175
F: 0.937 0.217 0.488